Record 1
12
Lattice="-3.0350 1.1871 0.7474 0.3295 -2.4462 -2.2554 -3.3380 -25.9444 27.6519" Properties=species:S:1:pos:R:3 comment="TeMoWSe2S (GGA-PBE, optimized geometry)" magnetic_moment_mub_per_fu=0.00 dft_energy_ev_per_atom=-6.864 relative_energy_mev_per_atom=22 corrected_energy_ev_per_atom=-6.948 formation_energy_ev_per_atom=-0.6024 pbc="T T T"
W -1.5678 -12.1853 12.9873
Mo -0.3135 -2.4366 2.5969
S -2.3285 -18.0979 19.2890
Se -1.0866 -8.4455 9.0014
Mo -1.7325 -8.5452 6.5367
Se -0.9595 -2.5372 0.1334
Te -2.1926 -12.1211 10.3479
W -2.9869 -18.2949 16.9281
Te -2.5270 -14.7199 13.1179
S -2.0613 -16.0212 17.0756
Se -1.2515 -4.8064 2.5519
Se -0.7946 -6.1761 6.5826

Record 2
12
Lattice="-0.9144 1.4324 2.9397 -1.9920 0.3110 -2.7322 -20.3795 -35.2658 10.8437" Properties=species:S:1:pos:R:3 comment="Te2MoWSeS (GGA-PBE, optimized geometry)" magnetic_moment_mub_per_fu=0.00 dft_energy_ev_per_atom=-6.690 relative_energy_mev_per_atom=20 corrected_energy_ev_per_atom=-6.774 formation_energy_ev_per_atom=-0.4865 pbc="T T T"
Te -6.7084 -11.6087 3.5695
Mo -1.8423 -3.1880 0.9802
S -14.1279 -24.4477 7.5173
S -12.6707 -21.9260 6.7419
W -15.0322 -22.5022 6.2880
W -7.4307 -9.3482 2.2434
Te -4.3810 -4.0708 0.6207
Te -2.5703 -0.9374 -0.3428
Mo -9.5889 -16.5931 5.1021
Te -4.8872 -8.4571 2.6004
Se -12.0188 -17.2877 4.6847
Se -10.4247 -14.5291 3.8365

Record 3
12
Lattice="0.7547 0.7792 -3.1615 -3.0520 0.6492 1.1983 11.9554 35.0075 11.4824" Properties=species:S:1:pos:R:3 comment="Te2MoW3Se4S2 (GGA-PBE, optimized geometry)" magnetic_moment_mub_per_fu=0.00 dft_energy_ev_per_atom=-7.012 relative_energy_mev_per_atom=21 corrected_energy_ev_per_atom=-7.096 formation_energy_ev_per_atom=-0.5737 pbc="T T T"
Se 4.5836 15.6630 3.1878
Se 1.0714 9.0510 2.4866
S 1.0785 5.3995 -0.1786
Mo 2.8544 10.5997 1.5271
W -0.6600 3.9810 0.8237
Se 5.6177 18.6910 4.1810
S 0.1394 2.6498 -1.0805
Te 5.4895 21.9880 6.7299
W 7.3472 23.7554 5.8421
Te 6.6668 25.4353 7.8606
Se 2.1005 12.0644 3.4750
W 3.8314 17.1328 5.1374

Record 4
12
Lattice="1.6717 -2.8954 0.0000 1.6717 2.8954 0.0000 0.0000 0.0000 38.0403" Properties=species:S:1:pos:R:3 comment="Te2Mo3WSe4S2 (GGA-PBE, optimized geometry)" magnetic_moment_mub_per_fu=0.00 dft_energy_ev_per_atom=-6.722 relative_energy_mev_per_atom=16 corrected_energy_ev_per_atom=-6.806 formation_energy_ev_per_atom=-0.6362 pbc="T T T"
W 0.0000 0.0000 17.8650
Se 1.6717 0.9651 19.5366
Te 0.0000 0.0000 23.1173
Se 1.6717 0.9651 5.2362
Se 1.6717 0.9651 16.1947
Mo 1.6717 0.9651 25.0138
S 0.0000 0.0000 9.1981
Mo 1.6717 0.9651 10.7197
S 0.0000 0.0000 12.2410
Mo 0.0000 0.0000 3.5725
Te 0.0000 0.0000 26.9099
Se 1.6717 0.9651 1.9091